A plane-wave DFT calculation with PBE with a Hubbard U was carried out for LiMnF3 after structural relaxation.

a = 5.740 Å, b = 19.717 Å, c = 9.315 Å
α = 90.00°, β = 90.00°, γ = 90.00°
Atoms (fractional coordinates):
Li 0.045 0.227 0.165
Li 0.045 0.273 0.665
Li 0.169 0.531 0.333
Li 0.169 0.969 0.833
Li 0.331 0.031 0.333
Li 0.331 0.469 0.833
Li 0.455 0.727 0.165
Li 0.455 0.773 0.665
Li 0.545 0.227 0.335
Li 0.545 0.273 0.835
Li 0.669 0.531 0.167
Li 0.669 0.969 0.667
Li 0.831 0.031 0.167
Li 0.831 0.469 0.667
Li 0.955 0.727 0.335
Li 0.955 0.773 0.835
Mn 0.157 0.622 0.655
Mn 0.157 0.878 0.155
Mn 0.162 0.621 0.037
Mn 0.162 0.879 0.537
Mn 0.338 0.121 0.037
Mn 0.338 0.379 0.537
Mn 0.343 0.122 0.655
Mn 0.343 0.378 0.155
Mn 0.657 0.622 0.845
Mn 0.657 0.878 0.345
Mn 0.662 0.621 0.463
Mn 0.662 0.879 0.963
Mn 0.838 0.121 0.463
Mn 0.838 0.379 0.963
Mn 0.843 0.122 0.845
Mn 0.843 0.378 0.345
F 0.010 0.175 0.659
F 0.010 0.325 0.159
F 0.032 0.180 0.985
F 0.032 0.320 0.485
F 0.147 0.694 0.194
F 0.147 0.806 0.694
F 0.155 0.052 0.166
F 0.155 0.448 0.666
F 0.165 0.072 0.486
F 0.165 0.428 0.986
F 0.181 0.068 0.835
F 0.181 0.432 0.335
F 0.319 0.568 0.835
F 0.319 0.932 0.335
F 0.335 0.572 0.486
F 0.335 0.928 0.986
F 0.345 0.552 0.166
F 0.345 0.948 0.666
F 0.353 0.194 0.194
F 0.353 0.306 0.694
F 0.468 0.680 0.985
F 0.468 0.820 0.485
F 0.490 0.675 0.659
F 0.490 0.825 0.159
F 0.510 0.175 0.841
F 0.510 0.325 0.341
F 0.532 0.180 0.515
F 0.532 0.320 0.015
F 0.647 0.694 0.306
F 0.647 0.806 0.806
F 0.655 0.052 0.334
F 0.655 0.448 0.834
F 0.665 0.072 0.014
F 0.665 0.428 0.514
F 0.681 0.068 0.665
F 0.681 0.432 0.165
F 0.819 0.568 0.665
F 0.819 0.932 0.165
F 0.835 0.572 0.014
F 0.835 0.928 0.514
F 0.845 0.552 0.334
F 0.845 0.948 0.834
F 0.853 0.194 0.306
F 0.853 0.306 0.806
F 0.968 0.680 0.515
F 0.968 0.820 0.015
F 0.990 0.675 0.841
F 0.990 0.825 0.341

## Properties
The calculation puts the total magnetization at 80.00 μB per cell. For the calculated density, the calculation gives 3.00 Mg/m³. Its distance to the lowest polymorph of the same formula is 17.4 meV per atom.